The following is a DFT calculation (GGA+U) of an optimized crystal structure of Li7Co2O6.

Output
ΔH_f (0 K) = -174.1 kJ/mol of atoms
magnetization = 7.00 μB per formula unit
energy with MP2020 corrections = -5.62 eV/atom

Structure (CIF):
```
data_Li7Co2O6
_chemical_formula_sum 'Li7 Co2 O6'
_space_group_name_H-M_alt 'P 1'
_space_group_IT_number 1
_cell_length_a 5.277
_cell_length_b 5.592
_cell_length_c 5.762
_cell_angle_alpha 118.47
_cell_angle_beta 90.15
_cell_angle_gamma 91.52
loop_
_space_group_symop_operation_xyz
'x,y,z'
loop_
_atom_site_label
_atom_site_fract_x
_atom_site_fract_y
_atom_site_fract_z
Li1 0.000 0.000 0.000
Li2 0.015 0.513 0.800
Li3 0.060 0.451 0.371
Li4 0.353 0.705 0.145
Li5 0.433 0.195 0.202
Li6 0.753 0.390 0.012
Li7 0.834 0.913 0.376
Co1 0.286 0.095 0.675
Co2 0.579 0.704 0.686
O1 0.148 0.366 0.017
O2 0.164 0.068 0.344
O3 0.212 0.740 0.705
O4 0.652 0.059 0.710
O5 0.692 0.470 0.363
O6 0.701 0.736 0.003
```